{
  "formula": "SmSBr",
  "functional": "PBE",
  "state": "relaxed",
  "lattice_angstrom": [[6.9720, 0.0000, 0.0000], [0.0000, 7.0313, 0.0000], [-1.1395, 0.0000, 6.8261]],
  "species": ["Sm", "Sm", "Sm", "Sm", "S", "S", "S", "S", "Br", "Br", "Br", "Br"],
  "frac_coords": [[0.1798, 0.0354, 0.2900], [0.1798, 0.4646, 0.7900], [0.8202, 0.5354, 0.2100], [0.8202, 0.9646, 0.7100], [0.0531, 0.7404, 0.5076], [0.0531, 0.7596, 0.0076], [0.9469, 0.2404, 0.9924], [0.9469, 0.2596, 0.4924], [0.4155, 0.1161, 0.7114], [0.4155, 0.3839, 0.2114], [0.5845, 0.6161, 0.7886], [0.5845, 0.8839, 0.2886]]
}



{
  "formula": "Ta4S9Br8",
  "functional": "PBE",
  "state": "relaxed",
  "lattice_angstrom": [[-6.7178, 6.7178, 3.7924], [6.7178, -6.7178, 3.7924], [6.7178, 6.7178, -3.7924]],
  "species": ["Ta", "Ta", "Ta", "Ta", "S", "S", "S", "S", "S", "S", "S", "S", "S", "Br", "Br", "Br", "Br", "Br", "Br", "Br", "Br"],
  "frac_coords": [[0.0000, 0.1755, 0.1755], [0.0000, 0.8245, 0.8245], [0.1755, 0.0000, 0.1755], [0.8245, 0.0000, 0.8245], [0.0960, 0.0960, 0.7406], [0.0960, 0.3554, 0.0000], [0.1853, 0.1853, 0.3769], [0.1853, 0.8084, 0.0000], [0.3554, 0.0960, 0.0000], [0.3554, 0.3554, 0.2594], [0.8084, 0.1853, 0.0000], [0.8084, 0.8084, 0.6231], [0.8988, 0.8988, 0.0000], [0.1334, 0.4793, 0.3458], [0.1334, 0.7876, 0.6542], [0.4565, 0.6819, 0.7745], [0.4793, 0.1334, 0.3458], [0.6819, 0.4565, 0.7745], [0.6819, 0.9074, 0.2255], [0.7876, 0.1334, 0.6542], [0.9074, 0.6819, 0.2255]],
  "piezo_max_c_m2": 0.305
}



{
  "formula": "TbSBr",
  "functional": "PBE",
  "state": "relaxed",
  "lattice_angstrom": [[6.8180, 0.0000, 0.0000], [0.0000, 6.9181, 0.0000], [-1.0929, 0.0000, 6.7115]],
  "species": ["Tb", "Tb", "Tb", "Tb", "S", "S", "S", "S", "Br", "Br", "Br", "Br"],
  "frac_coords": [[0.1801, 0.0353, 0.2899], [0.1801, 0.4647, 0.7899], [0.8199, 0.5353, 0.2101], [0.8199, 0.9647, 0.7101], [0.0541, 0.7398, 0.5079], [0.0541, 0.7602, 0.0079], [0.9459, 0.2398, 0.9921], [0.9459, 0.2602, 0.4921], [0.4157, 0.1161, 0.7122], [0.4157, 0.3839, 0.2122], [0.5843, 0.6161, 0.7878], [0.5843, 0.8839, 0.2878]]
}



{
  "formula": "TeS7Br2",
  "functional": "PBE",
  "state": "relaxed",
  "lattice_angstrom": [[9.7602, 0.0000, 0.0000], [0.0000, 12.0144, 0.0000], [0.0000, 0.0000, 13.7116]],
  "species": ["Te", "Te", "Te", "Te", "S", "S", "S", "S", "S", "S", "S", "S", "S", "S", "S", "S", "S", "S", "S", "S", "S", "S", "S", "S", "S", "S", "S", "S", "S", "S", "S", "S", "Br", "Br", "Br", "Br", "Br", "Br", "Br", "Br"],
  "frac_coords": [[0.2041, 0.2500, 0.0970], [0.2959, 0.7500, 0.5970], [0.7041, 0.2500, 0.4030], [0.7959, 0.7500, 0.9030], [0.1534, 0.6108, 0.2779], [0.1534, 0.8892, 0.2779], [0.1713, 0.5880, 0.5197], [0.1713, 0.9120, 0.5197], [0.2378, 0.0418, 0.8943], [0.2378, 0.4582, 0.8943], [0.2472, 0.2500, 0.7268], [0.2528, 0.7500, 0.2268], [0.2622, 0.5418, 0.3943], [0.2622, 0.9582, 0.3943], [0.3287, 0.0880, 0.0197], [0.3287, 0.4120, 0.0197], [0.3466, 0.1108, 0.7779], [0.3466, 0.3892, 0.7779], [0.6534, 0.6108, 0.2221], [0.6534, 0.8892, 0.2221], [0.6713, 0.5880, 0.9803], [0.6713, 0.9120, 0.9803], [0.7378, 0.0418, 0.6057], [0.7378, 0.4582, 0.6057], [0.7472, 0.2500, 0.7732], [0.7528, 0.7500, 0.2732], [0.7622, 0.5418, 0.1057], [0.7622, 0.9582, 0.1057], [0.8287, 0.0880, 0.4803], [0.8287, 0.4120, 0.4803], [0.8466, 0.1108, 0.7221], [0.8466, 0.3892, 0.7221], [0.0043, 0.2500, 0.9713], [0.0658, 0.7500, 0.7068], [0.4342, 0.2500, 0.2068], [0.4957, 0.7500, 0.4713], [0.5043, 0.2500, 0.5287], [0.5658, 0.7500, 0.7932], [0.9342, 0.2500, 0.2932], [0.9957, 0.7500, 0.0287]],
  "m_tot_mub_per_atom": 0.00
}



{
  "formula": "TeS7Br2",
  "functional": "PBE",
  "state": "relaxed",
  "lattice_angstrom": [[10.1248, 0.0000, 0.0000], [0.0000, 9.2942, 0.0000], [0.0000, 0.0000, 13.9227]],
  "species": ["Te", "Te", "Te", "Te", "S", "S", "S", "S", "S", "S", "S", "S", "S", "S", "S", "S", "S", "S", "S", "S", "S", "S", "S", "S", "S", "S", "S", "S", "S", "S", "S", "S", "Br", "Br", "Br", "Br", "Br", "Br", "Br", "Br"],
  "frac_coords": [[0.2012, 0.2500, 0.0908], [0.2988, 0.7500, 0.5908], [0.7012, 0.2500, 0.4092], [0.7988, 0.7500, 0.9092], [0.1563, 0.5713, 0.2799], [0.1563, 0.9287, 0.2799], [0.1758, 0.5400, 0.5175], [0.1758, 0.9600, 0.5175], [0.2391, 0.5222, 0.8937], [0.2391, 0.9778, 0.8937], [0.2446, 0.2500, 0.7300], [0.2554, 0.7500, 0.2300], [0.2609, 0.0222, 0.3937], [0.2609, 0.4778, 0.3937], [0.3242, 0.0400, 0.0175], [0.3242, 0.4600, 0.0175], [0.3437, 0.0713, 0.7799], [0.3437, 0.4287, 0.7799], [0.6563, 0.5713, 0.2201], [0.6563, 0.9287, 0.2201], [0.6758, 0.5400, 0.9825], [0.6758, 0.9600, 0.9825], [0.7391, 0.5222, 0.6063], [0.7391, 0.9778, 0.6063], [0.7446, 0.2500, 0.7700], [0.7554, 0.7500, 0.2700], [0.7609, 0.0222, 0.1063], [0.7609, 0.4778, 0.1063], [0.8242, 0.0400, 0.4825], [0.8242, 0.4600, 0.4825], [0.8437, 0.0713, 0.7201], [0.8437, 0.4287, 0.7201], [0.0128, 0.2500, 0.9628], [0.0792, 0.7500, 0.7031], [0.4208, 0.2500, 0.2031], [0.4872, 0.7500, 0.4628], [0.5128, 0.2500, 0.5372], [0.5792, 0.7500, 0.7969], [0.9208, 0.2500, 0.2969], [0.9872, 0.7500, 0.0372]]
}



{
  "formula": "Sb2Br9",
  "functional": "PBE",
  "state": "relaxed",
  "lattice_angstrom": [[7.7919, 0.0000, 0.0000], [-3.8960, 6.7480, 0.0000], [0.0000, 0.0000, 9.3207]],
  "species": ["Sb", "Sb", "Br", "Br", "Br", "Br", "Br", "Br", "Br", "Br", "Br"],
  "frac_coords": [[0.3333, 0.6667, 0.1869], [0.6667, 0.3333, 0.8131], [0.0000, 0.5000, 0.0000], [0.1740, 0.3480, 0.3292], [0.1740, 0.8260, 0.3292], [0.3480, 0.1740, 0.6708], [0.5000, 0.0000, 0.0000], [0.5000, 0.5000, 0.0000], [0.6520, 0.8260, 0.3292], [0.8260, 0.1740, 0.6708], [0.8260, 0.6520, 0.6708]],
  "m_tot_mub_per_atom": 0.00
}



Number 1: corrected total energy (MP2020 scheme) -17.5 eV per formula unit, formation energy from the elements -2.35 eV per atom, energy -66.02 eV per cell. Number 2: corrected total energy (MP2020 scheme) -123.9 eV per formula unit, formation energy from the elements -1.24 eV per atom, energy -115.08 eV per cell. Number 3: corrected total energy (MP2020 scheme) -17.4 eV per formula unit, formation energy from the elements -2.34 eV per atom, energy -65.53 eV per cell. Number 4: corrected total energy (MP2020 scheme) -40.9 eV per formula unit, formation energy from the elements -0.55 eV per atom, energy -145.06 eV per cell. Number 5: corrected total energy (MP2020 scheme) -40.9 eV per formula unit, formation energy from the elements -0.55 eV per atom, energy -145.20 eV per cell. Number 6: corrected total energy (MP2020 scheme) -31.7 eV per formula unit, formation energy from the elements -0.80 eV per atom, energy -26.93 eV per cell.